No. 1
# AcH3

A relaxed structure of AcH3 (r2SCAN, Materials Project).

Its energy of formation is -0.6718 eV per atom. As for the total magnetic moment: 0.00 μB per cell. The value obtained for the volume is 12.27 Å³/atom.

The space group is Fm-3m (No. 225) and the conventional cell measures 5.8114, 5.8114 and 5.8114 Å, with angles of 90.00, 90.00 and 90.00 degrees. The distinct sites, in fractional coordinates, are Ac at (0.0000, 0.0000, 0.0000), H at (0.0000, 0.0000, 0.5000) and H at (0.2500, 0.2500, 0.2500).

---

No. 2
# NdGe

A relaxed structure of NdGe (r2SCAN, Materials Project).

Its energy of formation is -0.9472 eV per atom. As for the total magnetic moment: 0.00 μB per cell. The value obtained for the volume is 25.18 Å³/atom.

The space group is Cmcm (No. 63) and the conventional cell measures 4.4777, 11.0873 and 4.0573 Å, with angles of 90.00, 90.00 and 90.00 degrees. The distinct sites, in fractional coordinates, are Nd at (0.0000, 0.1385, 0.2500) and Ge at (0.0000, 0.4196, 0.2500).

---

No. 3
# Pr3PBr3

A relaxed structure of Pr3PBr3 (r2SCAN, Materials Project).

Its energy of formation is -1.8981 eV per atom. As for the total magnetic moment: 0.00 μB per cell. The value obtained for the volume is 30.31 Å³/atom.

The space group is I4_132 (No. 214) and the conventional cell measures 11.9284, 11.9284 and 11.9284 Å, with angles of 90.00, 90.00 and 90.00 degrees. The distinct sites, in fractional coordinates, are Pr at (0.1117, 0.3617, 0.1250), P at (0.1250, 0.1250, 0.1250) and Br at (0.1180, 0.1320, 0.6250).

---

No. 4
# Al9Cr3Si

A relaxed structure of Al9Cr3Si (r2SCAN, Materials Project).

Its energy of formation is -0.1355 eV per atom. As for the total magnetic moment: 0.00 μB per cell. The value obtained for the volume is 14.39 Å³/atom.

The space group is P6_3/mmc (No. 194) and the conventional cell measures 7.4450, 7.4450 and 7.7916 Å, with angles of 90.00, 90.00 and 120.00 degrees. The distinct sites, in fractional coordinates, are Al at (0.0858, 0.5429, 0.2500), Al at (0.2015, 0.4031, 0.5619), Cr at (0.1148, 0.2297, 0.2500) and Si at (0.0000, 0.0000, 0.0000).

---

No. 5
# ErGaPt

A relaxed structure of ErGaPt (r2SCAN, Materials Project).

Its energy of formation is -1.2319 eV per atom. As for the total magnetic moment: 0.00 μB per cell. The value obtained for the volume is 18.95 Å³/atom.

The space group is Pnma (No. 62) and the conventional cell measures 6.8398, 4.3868 and 7.5805 Å, with angles of 90.00, 90.00 and 90.00 degrees. The distinct sites, in fractional coordinates, are Er at (0.0135, 0.2500, 0.1995), Ga at (0.1741, 0.2500, 0.5762) and Pt at (0.2232, 0.7500, 0.4032).

---

No. 6
# MgAs2WO7

A relaxed structure of MgAs2WO7 (r2SCAN, Materials Project).

Its energy of formation is -1.9161 eV per atom. As for the total magnetic moment: 0.00 μB per cell. The value obtained for the volume is 14.17 Å³/atom.

The space group is P2_1/c (No. 14) and the conventional cell measures 6.5739, 10.0347 and 10.1721 Å, with angles of 90.00, 111.66 and 90.00 degrees. The distinct sites, in fractional coordinates, are Mg at (0.1212, 0.0562, 0.1543), As at (0.0629, 0.7330, 0.1392), As at (0.4642, 0.6692, 0.9576), W at (0.3508, 0.1038, 0.7948), O at (0.0141, 0.6215, 0.5432), O at (0.1305, 0.5015, 0.2784), O at (0.1681, 0.2210, 0.3009), O at (0.2261, 0.6813, 0.8079), O at (0.3320, 0.1893, 0.6245), O at (0.4469, 0.0111, 0.2121) and O at (0.4808, 0.6607, 0.5199).

---

No. 7
# BaMg2

A relaxed structure of BaMg2 (r2SCAN, Materials Project).

Its energy of formation is -0.0583 eV per atom. As for the total magnetic moment: 0.00 μB per cell. The value obtained for the volume is 33.72 Å³/atom.

The space group is P6_3/mmc (No. 194) and the conventional cell measures 6.6447, 6.6447 and 10.5821 Å, with angles of 90.00, 90.00 and 120.00 degrees. The distinct sites, in fractional coordinates, are Ba at (0.3333, 0.6667, 0.0562), Mg at (0.0000, 0.0000, 0.0000) and Mg at (0.1611, 0.3221, 0.7500).

---

No. 8
# Zr3As2

A relaxed structure of Zr3As2 (r2SCAN, Materials Project).

Its energy of formation is -1.2064 eV per atom. As for the total magnetic moment: 0.00 μB per cell. The value obtained for the volume is 20.22 Å³/atom.

The space group is Pnma (No. 62) and the conventional cell measures 10.5876, 3.7639 and 10.1483 Å, with angles of 90.00, 90.00 and 90.00 degrees. The distinct sites, in fractional coordinates, are Zr at (0.0443, 0.2500, 0.1254), Zr at (0.1242, 0.7500, 0.5675), Zr at (0.2153, 0.2500, 0.7963), As at (0.0278, 0.7500, 0.3209) and As at (0.1943, 0.7500, 0.0008).

---

No. 9
# NdIn2Ir

A relaxed structure of NdIn2Ir (r2SCAN, Materials Project).

Its energy of formation is -0.6703 eV per atom. As for the total magnetic moment: 0.00 μB per cell. The value obtained for the volume is 22.86 Å³/atom.

The space group is Cmcm (No. 63) and the conventional cell measures 4.3774, 10.4202 and 8.0194 Å, with angles of 90.00, 90.00 and 90.00 degrees. The distinct sites, in fractional coordinates, are Nd at (0.0000, 0.0692, 0.2500), In at (0.0000, 0.3541, 0.0511) and Ir at (0.0000, 0.2197, 0.7500).

---

No. 10
# YGe2Ru2

A relaxed structure of YGe2Ru2 (r2SCAN, Materials Project).

Its energy of formation is -0.7113 eV per atom. As for the total magnetic moment: 0.00 μB per cell. The value obtained for the volume is 17.67 Å³/atom.

The space group is I4/mmm (No. 139) and the conventional cell measures 4.2403, 4.2403 and 9.8294 Å, with angles of 90.00, 90.00 and 90.00 degrees. The distinct sites, in fractional coordinates, are Y at (0.0000, 0.0000, 0.0000), Ge at (0.0000, 0.0000, 0.3690) and Ru at (0.0000, 0.5000, 0.2500).

---

No. 11
# Lu2Al9Ir3

A relaxed structure of Lu2Al9Ir3 (r2SCAN, Materials Project).

Its energy of formation is -0.9392 eV per atom. As for the total magnetic moment: 0.00 μB per cell. The value obtained for the volume is 16.19 Å³/atom.

The space group is Cmcm (No. 63) and the conventional cell measures 12.8993, 7.5237 and 9.3429 Å, with angles of 90.00, 90.00 and 90.00 degrees. The distinct sites, in fractional coordinates, are Lu at (0.1612, 0.1663, 0.2500), Al at (0.0000, 0.1298, 0.7500), Al at (0.0000, 0.3334, 0.0533), Al at (0.1048, 0.4445, 0.7500), Al at (0.1672, 0.1684, 0.5751), Ir at (0.0000, 0.0000, 0.0000) and Ir at (0.1725, 0.5000, 0.0000).

---

No. 12
# TlIO3

A relaxed structure of TlIO3 (r2SCAN, Materials Project).

Its energy of formation is -0.6023 eV per atom. As for the total magnetic moment: 0.00 μB per cell. The value obtained for the volume is 18.26 Å³/atom.

The space group is R3m (No. 160, hexagonal axes) and the conventional cell measures 6.3016, 6.3016 and 7.9663 Å, with angles of 90.00, 90.00 and 120.00 degrees. The distinct sites, in fractional coordinates, are Tl at (0.0000, 0.0000, 0.0000), I at (0.0000, 0.0000, 0.4931) and O at (0.1862, 0.3724, 0.2669).